[1]
Here is an optimized crystal structure of Ca2Pb from the Materials Project database. Energies are from PBE-GGA.

Cell and atoms, written as POSCAR:
```
Ca2Pb
1.0
-3.0155 -4.4391 0.6136
-5.3886 0.3635 -0.0784
-2.7796 -1.9769 -4.1882
Ca Pb
2 1
Direct
0.7500 0.7500 0.7500
0.2500 0.2500 0.2500
0.0000 0.0000 0.0000
```

=====

[2]
Here is an optimized crystal structure of Ba3Bi6PbSe13 from the Materials Project database. Energies are from PBE-GGA.

Cell and atoms, written as POSCAR:
```
Ba3Bi6PbSe13
1.0
4.3341 0.0000 0.0000
0.0000 17.5945 0.0000
0.0000 0.2108 18.9398
Ba Bi Pb Se
6 12 2 26
Direct
0.2500 0.2522 0.7338
0.7500 0.2667 0.1759
0.7500 0.7478 0.2662
0.2500 0.5176 0.6558
0.7500 0.4824 0.3442
0.2500 0.7333 0.8241
0.7500 0.0812 0.5773
0.2500 0.9188 0.4227
0.2500 0.6732 0.4750
0.2500 0.8969 0.0229
0.2500 0.4901 0.1181
0.7500 0.1031 0.9771
0.2500 0.1717 0.3817
0.7500 0.5099 0.8819
0.7500 0.6880 0.0426
0.7500 0.8283 0.6183
0.7500 0.3268 0.5250
0.2500 0.3120 0.9574
0.7500 0.0132 0.2486
0.2500 0.9868 0.7514
0.2500 0.4263 0.4878
0.2500 0.1955 0.5547
0.7500 0.8045 0.4453
0.7500 0.2759 0.3633
0.7500 0.3745 0.6642
0.2500 0.8920 0.2789
0.2500 0.1891 0.0557
0.2500 0.1377 0.2398
0.2500 0.6042 0.9655
0.2500 0.9609 0.5878
0.7500 0.5737 0.5122
0.2500 0.3948 0.2339
0.7500 0.1080 0.7211
0.2500 0.4215 0.8269
0.2500 0.7241 0.6367
0.7500 0.8109 0.9443
0.7500 0.5785 0.1731
0.7500 0.2354 0.8773
0.7500 0.8623 0.7602
0.7500 0.6052 0.7661
0.2500 0.6255 0.3358
0.7500 0.9817 0.0893
0.7500 0.3958 0.0345
0.2500 0.0183 0.9107
0.2500 0.7646 0.1227
0.7500 0.0391 0.4122
```

=====

[3]
Here is an optimized crystal structure of CaEu2O3 from the Materials Project database. Energies are from PBE-GGA.

Cell and atoms, written as POSCAR:
```
CaEu2O3
1.0
2.9832 1.2392 -5.0589
-3.8665 -4.5882 0.1622
-4.4233 3.6671 -1.7101
Ca Eu O
2 4 6
Direct
0.8355 0.8355 0.2500
0.1645 0.1645 0.7500
0.8334 0.5005 0.7500
0.4995 0.1666 0.2500
0.1666 0.4995 0.2500
0.5005 0.8334 0.7500
0.8395 0.1605 0.0000
0.8395 0.1605 0.5000
0.5000 0.5000 0.0000
0.5000 0.5000 0.5000
0.1605 0.8395 0.5000
0.1605 0.8395 0.0000
```

Results
excess energy over the best structure of this formula in the dataset	69	meV per atom

=====

[4]
Here is an optimized crystal structure of FeS2 from the Materials Project database. Energies are from PBE-GGA.

Cell and atoms, written as POSCAR:
```
FeS2
1.0
-0.9939 2.3552 5.4815
-5.1507 -2.6153 1.7924
5.0205 -2.6469 -2.0906
Fe S
2 4
Direct
0.7500 0.2500 0.5000
0.0000 0.0000 0.0000
0.8750 0.9200 0.5450
0.0800 0.6250 0.9550
0.3750 0.3300 0.4550
0.6700 0.1250 0.0450
```

=====

[5]
Here is an optimized crystal structure of LiHg3 from the Materials Project database. Energies are from PBE-GGA.

Cell and atoms, written as POSCAR:
```
LiHg3
1.0
1.5871 -3.4985 -3.3074
-0.5203 -4.9263 1.0764
-3.3750 -2.8059 -2.5364
Li Hg
1 3
Direct
0.0000 0.0000 0.0000
0.2500 0.2500 0.2500
0.7500 0.7500 0.7500
0.5000 0.5000 0.5000
```

=====

[6]
Here is an optimized crystal structure of Tl9SbSe6 from the Materials Project database. Energies are from PBE-GGA.

Cell and atoms, written as POSCAR:
```
Tl9SbSe6
1.0
11.8671 0.0000 0.0000
0.0000 11.8671 0.0000
0.0000 0.0000 14.4438
Tl Sb Se
36 4 24
Direct
0.9005 0.7486 0.6073
0.1119 0.7150 0.1143
0.2296 0.5999 0.5963
0.3825 0.7277 0.3995
0.2553 0.5903 0.8961
0.2388 0.4069 0.1057
0.2723 0.3825 0.3995
0.5903 0.7447 0.8961
0.5000 0.5000 0.6880
0.4097 0.2553 0.8961
0.7277 0.6175 0.3995
0.4001 0.2296 0.5963
0.7612 0.5931 0.1057
0.7447 0.4097 0.8961
0.6175 0.2723 0.3995
0.7704 0.4001 0.5963
0.5931 0.2388 0.1057
0.0000 0.5000 0.3310
0.8881 0.2850 0.1143
0.7486 0.0995 0.6073
0.9095 0.2144 0.3798
0.7433 0.1120 0.9051
0.7150 0.8881 0.1143
0.0995 0.2514 0.6073
0.7856 0.9095 0.3798
0.1120 0.2567 0.9051
0.0000 0.0000 0.1697
0.8880 0.7433 0.9051
0.2144 0.0905 0.3798
0.2850 0.1119 0.1143
0.2567 0.8880 0.9051
0.0905 0.7856 0.3798
0.2514 0.9005 0.6073
0.5000 0.0000 0.3310
0.4069 0.7612 0.1057
0.5999 0.7704 0.5963
0.0000 0.5000 0.7591
0.5000 0.5000 0.2387
0.5000 0.0000 0.7591
0.0000 0.0000 0.7692
0.0764 0.7504 0.7613
0.0000 0.5000 0.9514
0.2655 0.5766 0.2573
0.2312 0.4188 0.7469
0.5766 0.7345 0.2573
0.5000 0.5000 0.4724
0.5000 0.5000 0.0546
0.4234 0.2655 0.2573
0.7688 0.5812 0.7469
0.7345 0.4234 0.2573
0.5812 0.2312 0.7469
0.5000 0.0000 0.9514
0.0000 0.5000 0.5511
0.9236 0.2496 0.7613
0.7551 0.0912 0.2331
0.7504 0.9236 0.7613
0.0912 0.2449 0.2331
0.0000 0.0000 0.4667
0.0000 0.0000 0.9441
0.9088 0.7551 0.2331
0.2496 0.0764 0.7613
0.2449 0.9088 0.2331
0.5000 0.0000 0.5511
0.4188 0.7688 0.7469
```

Results
excess energy over the best structure of this formula in the dataset	14	meV per atom

=====

V / A^3/atom: 37.1, 31.4, 15.6, 22.1, 23.0, 31.8
Final energy / eV/atom: -3.090, -4.263, -8.980, -5.729, -0.877, -3.239